Computed, not measured: a geometry-optimized CsAs2Ru2 structure at the r2SCAN level of DFT.

Properties
Its space group is I4/mmm. Its total energy is -107.828 eV per cell.

a = 4.0642 Å, b = 4.0642 Å, c = 7.9389 Å
α = 104.83°, β = 104.83°, γ = 90.00°
Closest atoms and distances in Å follow each position.
Atoms (fractional coordinates):
As  0.6612  0.6612  0.3224  4 Ru 2.42
Cs  0.0000  0.0000  0.0000  8 As 3.74, 4 Cs 4.06
As  0.3388  0.3388  0.6776  4 Ru 2.42
Ru  0.7500  0.2500  0.5000  4 As 2.42
Ru  0.2500  0.7500  0.5000  4 As 2.42


Computed, not measured: a geometry-optimized Cs2Te3As structure at the r2SCAN level of DFT.

Properties
Its space group is P2_1/c. Its total energy is -582.937 eV per cell.

a = 9.5884 Å, b = 10.9518 Å, c = 11.5884 Å
α = 60.99°, β = 90.00°, γ = 90.00°
Closest atoms and distances in Å follow each position.
Atoms (fractional coordinates):
Te  0.7183  0.9982  0.8926  1 As 2.57
Te  0.7817  0.9982  0.3926  1 As 2.57
As  0.1011  0.0452  0.9277  1 As 2.44, 1 Te 2.57
Te  0.2775  0.4719  0.3333  1 Te 2.77
Te  0.2225  0.4719  0.8333  1 Te 2.77
Cs  0.9095  0.7445  0.8011  6 Te 3.85-4.12, 1 As 3.89
Te  0.7225  0.5281  0.6667  1 Te 2.77
Cs  0.0905  0.2555  0.1989  6 Te 3.85-4.12, 1 As 3.89
Te  0.9965  0.3065  0.8487  1 As 2.74, 1 Te 2.77
Te  0.2817  0.0018  0.1074  1 As 2.57
As  0.8989  0.9548  0.0723  1 As 2.44, 1 Te 2.57
Cs  0.1080  0.7335  0.4686  8 Te 3.94-4.36, 1 As 4.25, 1 Cs 4.35
Cs  0.6080  0.2665  0.0314  8 Te 3.94-4.36, 1 As 4.25, 1 Cs 4.35
As  0.3989  0.0452  0.4277  1 As 2.44, 1 Te 2.57
As  0.6011  0.9548  0.5723  1 As 2.44, 1 Te 2.57
Te  0.7775  0.5281  0.1667  1 Te 2.77
Cs  0.3920  0.7335  0.9686  8 Te 3.94-4.36, 1 As 4.25, 1 Cs 4.35
Cs  0.4095  0.2555  0.6989  6 Te 3.85-4.12, 1 As 3.89
Te  0.2183  0.0018  0.6074  1 As 2.57
Te  0.4965  0.6935  0.6513  1 As 2.74, 1 Te 2.77
Te  0.0035  0.6935  0.1513  1 As 2.74, 1 Te 2.77
Cs  0.8920  0.2665  0.5314  8 Te 3.94-4.36, 1 As 4.25, 1 Cs 4.35
Cs  0.5905  0.7445  0.3011  6 Te 3.85-4.12, 1 As 3.89
Te  0.5035  0.3065  0.3487  1 As 2.74, 1 Te 2.77


Computed, not measured: a geometry-optimized CsZn4As3 structure at the r2SCAN level of DFT.

Properties
Its space group is P4/mmm. Its total energy is -108.051 eV per cell.

a = 4.1749 Å, b = 4.1749 Å, c = 10.6722 Å
α = 90.00°, β = 90.00°, γ = 90.00°
Closest atoms and distances in Å follow each position.
Atoms (fractional coordinates):
Zn  0.0000  0.5000  0.1538  4 As 2.49-2.66
As  0.5000  0.5000  0.2811  4 Zn 2.49
As  0.0000  0.0000  0.0000  8 Zn 2.66
Cs  0.0000  0.0000  0.5000  8 As 3.76, 4 Cs 4.17
As  0.5000  0.5000  0.7189  4 Zn 2.49
Zn  0.5000  0.0000  0.8462  4 As 2.49-2.66
Zn  0.5000  0.0000  0.1538  4 As 2.49-2.66
Zn  0.0000  0.5000  0.8462  4 As 2.49-2.66


Computed, not measured: a geometry-optimized CuAs structure at the r2SCAN level of DFT.

Properties
Its space group is P6_3/mmc. Its total energy is -50.896 eV per cell.

a = 3.8297 Å, b = 3.8297 Å, c = 4.9600 Å
α = 90.00°, β = 90.00°, γ = 120.00°
Closest atoms and distances in Å follow each position.
Atoms (fractional coordinates):
As  0.6667  0.3333  0.7500  6 Cu 2.54
As  0.3333  0.6667  0.2500  6 Cu 2.54
Cu  0.0000  0.0000  0.5000  2 Cu 2.48, 6 As 2.54
Cu  0.0000  0.0000  0.0000  2 Cu 2.48, 6 As 2.54


Computed, not measured: a geometry-optimized Cu2As structure at the r2SCAN level of DFT.

Properties
Its space group is P4/nmm. Its total energy is -72.702 eV per cell.

a = 3.7736 Å, b = 3.7736 Å, c = 5.8794 Å
α = 90.00°, β = 90.00°, γ = 90.00°
Closest atoms and distances in Å follow each position.
Atoms (fractional coordinates):
As  0.7500  0.7500  0.2870  9 Cu 2.43-2.67
Cu  0.2500  0.2500  0.3000  5 As 2.43-2.67, 4 Cu 2.58
Cu  0.7500  0.2500  0.0000  4 As 2.53, 8 Cu 2.58-2.67
Cu  0.7500  0.7500  0.7000  5 As 2.43-2.67, 4 Cu 2.58
Cu  0.2500  0.7500  0.0000  4 As 2.53, 8 Cu 2.58-2.67
As  0.2500  0.2500  0.7130  9 Cu 2.43-2.67


Computed, not measured: a geometry-optimized ErCuAs2 structure at the r2SCAN level of DFT.

Properties
Its space group is P4/nmm. Its total energy is -155.645 eV per cell.

a = 3.8529 Å, b = 3.8529 Å, c = 9.8298 Å
α = 90.00°, β = 90.00°, γ = 90.00°
Closest atoms and distances in Å follow each position.
Atoms (fractional coordinates):
As  0.5000  0.0000  0.6606  4 Cu 2.49
As  0.5000  0.5000  0.0000  4 As 2.72, 4 Er 3.02
Cu  0.5000  0.5000  0.5000  4 As 2.49, 4 Cu 2.72
As  0.0000  0.0000  0.0000  4 As 2.72, 4 Er 3.02
Cu  0.0000  0.0000  0.5000  4 As 2.49, 4 Cu 2.72
Er  0.0000  0.5000  0.7640  8 As 2.91-3.02, 4 Cu 3.23
As  0.0000  0.5000  0.3394  4 Cu 2.49
Er  0.5000  0.0000  0.2360  8 As 2.91-3.02, 4 Cu 3.23


Computed, not measured: a geometry-optimized EuCuAs structure at the r2SCAN level of DFT.

Properties
Its space group is P6_3/mmc. Its total energy is -134.017 eV per cell.

a = 4.1988 Å, b = 4.1988 Å, c = 8.3340 Å
α = 90.00°, β = 90.00°, γ = 120.00°
Closest atoms and distances in Å follow each position.
Atoms (fractional coordinates):
As  0.6667  0.3333  0.7499  3 Cu 2.42
Cu  0.6667  0.3333  0.2500  3 As 2.42
As  0.3333  0.6667  0.2501  3 Cu 2.42
Eu  0.0000  0.0000  0.5000  6 As 3.20, 6 Cu 3.20
Cu  0.3333  0.6667  0.7500  3 As 2.42
Eu  0.0000  0.0000  0.0000  6 Cu 3.20, 6 As 3.20


Computed, not measured: a geometry-optimized ZrCuGeAs structure at the r2SCAN level of DFT.

Properties
Its space group is P4/nmm. Its total energy is -129.671 eV per cell.

a = 3.7182 Å, b = 3.7182 Å, c = 9.6364 Å
α = 90.00°, β = 90.00°, γ = 90.00°
Closest atoms and distances in Å follow each position.
Atoms (fractional coordinates):
Ge  0.5000  0.5000  0.0000  4 Ge 2.63, 4 Zr 2.87
Ge  0.0000  0.0000  0.0000  4 Ge 2.63, 4 Zr 2.87
As  0.5000  0.0000  0.6740  4 Cu 2.50, 4 Zr 2.80
Cu  0.0000  0.0000  0.5000  4 As 2.50, 4 Cu 2.63
Zr  0.0000  0.5000  0.7734  4 As 2.80, 4 Ge 2.87
Zr  0.5000  0.0000  0.2266  4 As 2.80, 4 Ge 2.87
Cu  0.5000  0.5000  0.5000  4 As 2.50, 4 Cu 2.63
As  0.0000  0.5000  0.3260  4 Cu 2.50, 4 Zr 2.80


Computed, not measured: a geometry-optimized KMg3CuAs3O12 structure at the r2SCAN level of DFT.

Properties
Its space group is C2/c. Its total energy is -370.467 eV per cell.

a = 8.8126 Å, b = 8.8126 Å, c = 6.7521 Å
α = 74.53°, β = 74.53°, γ = 92.92°
Closest atoms and distances in Å follow each position.
Atoms (fractional coordinates):
O  0.9851  0.2240  0.2371  1 As 1.73
O  0.0946  0.4711  0.8210  1 As 1.70
O  0.7754  0.0005  0.8143  1 As 1.71
As  0.1471  0.3780  0.6275  4 O 1.67-1.71
As  0.8529  0.6220  0.3725  4 O 1.67-1.71
Mg  0.5605  0.8763  0.3720  6 O 2.01-2.16
O  0.6765  0.6858  0.3773  1 As 1.67
Mg  0.1237  0.4395  0.1280  6 O 2.01-2.16
Cu  0.9989  0.0011  0.2500  4 O 1.92-1.96
O  0.2497  0.6760  0.9760  1 As 1.70
O  0.1682  0.5084  0.3820  1 As 1.70
O  0.7760  0.0149  0.2629  1 As 1.73
O  0.9054  0.5289  0.1790  1 As 1.70
As  0.6220  0.8529  0.8725  4 O 1.67-1.71
K  0.5154  0.4846  0.2500  6 O 2.63-2.90
O  0.3235  0.3142  0.6227  1 As 1.67
As  0.2136  0.7864  0.7500  4 O 1.70-1.73
O  0.6760  0.2497  0.4760  1 As 1.70
O  0.4916  0.8318  0.1180  1 As 1.70
O  0.5084  0.1682  0.8820  1 As 1.70
Mg  0.7564  0.2436  0.7500  6 O 2.09-2.14
O  0.8318  0.4916  0.6180  1 As 1.70
O  0.7503  0.3240  0.0240  1 As 1.70
O  0.0149  0.7760  0.7629  1 As 1.73
O  0.4711  0.0946  0.3210  1 As 1.70
K  0.4846  0.5154  0.7500  6 O 2.63-2.90
O  0.5289  0.9054  0.6790  1 As 1.70
Mg  0.4395  0.1237  0.6280  6 O 2.01-2.16
O  0.2246  0.9995  0.1857  1 As 1.71
O  0.0005  0.7754  0.3143  1 As 1.71
O  0.3142  0.3235  0.1227  1 As 1.67
O  0.3240  0.7503  0.5240  1 As 1.70
O  0.6858  0.6765  0.8773  1 As 1.67
Cu  0.0011  0.9989  0.7500  4 O 1.92-1.96
Mg  0.2436  0.7564  0.2500  6 O 2.09-2.14
O  0.2240  0.9851  0.7371  1 As 1.73
As  0.3780  0.1471  0.1275  4 O 1.67-1.71
Mg  0.8763  0.5605  0.8720  6 O 2.01-2.16
O  0.9995  0.2246  0.6857  1 As 1.71
As  0.7864  0.2136  0.2500  4 O 1.70-1.73


Energy of formation from the pure elements for the records above, in order: -491 -760 -397 53 17 -909 -978 -665 -2003 meV/atom
Magnetic moment for the records above, in order: 0.00 0.00 0.00 0.00 0.00 0.00 14.01 0.00 2.00 μB/cell